1.
Density functional theory data (GGA-PBE) for a relaxed structure of La3BeVS7.

## Properties
E_form, meV/atom: -2005.8
Symmetry: P6_3
Mass density, g/cm3: 4.3
Magnetic moment, μB/f.u.: 2.00
Crystal system: hexagonal

Cell lengths 10.195, 10.195, 5.949 Å; angles 90.00, 90.00, 120.00 degrees
Positions (direct):
1 La 0.137 0.388 0.000
2 La 0.251 0.863 0.000
3 La 0.388 0.251 0.500
4 La 0.612 0.749 0.000
5 La 0.749 0.137 0.500
6 La 0.863 0.612 0.500
7 Be 0.333 0.667 0.414
8 Be 0.667 0.333 0.914
9 V 0.000 0.000 0.270
10 V 0.000 0.000 0.770
11 S 0.076 0.217 0.521
12 S 0.113 0.595 0.284
13 S 0.141 0.924 0.521
14 S 0.217 0.141 0.021
15 S 0.333 0.667 0.767
16 S 0.405 0.518 0.284
17 S 0.482 0.887 0.284
18 S 0.518 0.113 0.784
19 S 0.595 0.482 0.784
20 S 0.667 0.333 0.267
21 S 0.783 0.859 0.521
22 S 0.859 0.076 0.021
23 S 0.887 0.405 0.784
24 S 0.924 0.783 0.021

2.
Density functional theory data (GGA-PBE) for a relaxed structure of Ca3Nd8Ru4O24.

## Properties
E_form, meV/atom: -2957.3
Symmetry: I4_1
Mass density, g/cm3: 6.5
Magnetic moment, μB/f.u.: 10.00
Crystal system: tetragonal

Cell lengths 11.450, 11.450, 11.450 Å; angles 120.21, 120.21, 89.63 degrees
Positions (direct):
1 Ca 0.000 0.000 0.000
2 Ca 0.210 0.210 0.000
3 Ca 0.466 0.966 0.500
4 Ca 0.716 0.716 0.000
5 Ca 0.750 0.250 0.500
6 Ca 0.960 0.460 0.500
7 Nd 0.085 0.774 0.267
8 Nd 0.101 0.835 0.689
9 Nd 0.146 0.412 0.311
10 Nd 0.162 0.351 0.766
11 Nd 0.167 0.738 0.971
12 Nd 0.179 0.149 0.430
13 Nd 0.488 0.017 0.070
14 Nd 0.498 0.429 0.530
15 Nd 0.507 0.818 0.733
16 Nd 0.524 0.757 0.189
17 Nd 0.568 0.335 0.811
18 Nd 0.585 0.396 0.234
19 Nd 0.718 0.748 0.570
20 Nd 0.767 0.196 0.029
21 Nd 0.899 0.968 0.470
22 Nd 0.946 0.417 0.930
23 Ru 0.333 0.584 0.250
24 Ru 0.334 0.585 0.751
25 Ru 0.335 0.083 0.750
26 Ru 0.337 0.085 0.255
27 Ru 0.830 0.082 0.745
28 Ru 0.832 0.587 0.752
29 Ru 0.833 0.583 0.249
30 Ru 0.835 0.080 0.248
31 O 0.005 0.764 0.418
32 O 0.147 0.079 0.717
33 O 0.149 0.569 0.236
34 O 0.169 0.955 0.194
35 O 0.171 0.664 0.725
36 O 0.180 0.397 0.568
37 O 0.196 0.421 0.007
38 O 0.223 0.998 0.002
39 O 0.247 0.236 0.305
40 O 0.257 0.979 0.510
41 O 0.302 0.738 0.217
42 O 0.319 0.583 0.920
43 O 0.333 0.913 0.764
44 O 0.337 0.255 0.741
45 O 0.346 0.587 0.582
46 O 0.362 0.430 0.283
47 O 0.414 0.189 0.993
48 O 0.414 0.926 0.188
49 O 0.434 0.175 0.503
50 O 0.469 0.747 0.490
51 O 0.488 0.771 0.936
52 O 0.497 0.507 0.778
53 O 0.503 0.213 0.311
54 O 0.514 0.596 0.259
55 O 0.521 0.085 0.783
56 O 0.663 0.399 0.080
57 O 0.672 0.931 0.497
58 O 0.676 0.988 0.012
59 O 0.681 0.684 0.758
60 O 0.692 0.497 0.511
61 O 0.705 0.011 0.286
62 O 0.725 0.419 0.714
63 O 0.729 0.719 0.221
64 O 0.738 0.226 0.812
65 O 0.748 0.246 0.274
66 O 0.761 0.975 0.806
67 O 0.829 0.612 0.432
68 O 0.835 0.552 0.064
69 O 0.901 0.191 0.689
70 O 0.925 0.922 0.242
71 O 0.931 0.942 0.695
72 O 0.939 0.446 0.275
73 O 0.941 0.753 0.790
74 O 0.963 0.151 0.210
75 O 0.972 0.473 0.726
76 O 0.976 0.664 0.988
77 O 0.986 0.181 0.489
78 O 0.996 0.222 0.998

3.
Density functional theory data (GGA-PBE) for a relaxed structure of CeSe2.

## Properties
E_form, meV/atom: -1329.6
Symmetry: R-3c
Mass density, g/cm3: 1.8
Magnetic moment, μB/f.u.: 0.00
Crystal system: trigonal

Cell lengths 15.782, 15.782, 15.782 Å; angles 117.37, 117.37, 117.37 degrees
Positions (direct):
1 Ce 0.180 0.750 0.320
2 Ce 0.250 0.680 0.820
3 Ce 0.320 0.180 0.750
4 Ce 0.680 0.820 0.250
5 Ce 0.750 0.320 0.180
6 Ce 0.820 0.250 0.680
7 Se 0.000 0.000 0.500
8 Se 0.000 0.500 0.000
9 Se 0.000 0.500 0.500
10 Se 0.004 0.496 0.750
11 Se 0.250 0.996 0.504
12 Se 0.496 0.750 0.004
13 Se 0.500 0.000 0.000
14 Se 0.500 0.000 0.500
15 Se 0.500 0.500 0.000
16 Se 0.504 0.250 0.996
17 Se 0.750 0.004 0.496
18 Se 0.996 0.504 0.250

4.
Density functional theory data (GGA-PBE) for a relaxed structure of CeAsO3.

## Properties
E_form, meV/atom: -2748.9
Symmetry: P2_1/m
Mass density, g/cm3: 6.2
Magnetic moment, μB/f.u.: 1.00
Crystal system: monoclinic

Cell lengths 4.410, 5.329, 6.186 Å; angles 90.00, 105.33, 90.00 degrees
Positions (direct):
1 Ce 0.163 0.250 0.298
2 Ce 0.837 0.750 0.702
3 As 0.421 0.250 0.859
4 As 0.579 0.750 0.141
5 O 0.164 0.750 0.115
6 O 0.305 0.001 0.655
7 O 0.305 0.499 0.655
8 O 0.695 0.501 0.345
9 O 0.695 0.999 0.345
10 O 0.836 0.250 0.885